(1)
Computed, not measured: crystalline TbB4Rh4 at its relaxed geometry at the PBE-GGA level of DFT.

The structure in CIF format:
```
data_TbB4Rh4
_cell_length_a 5.3476
_cell_length_b 5.3476
_cell_length_c 7.4764
_cell_angle_alpha 90.00
_cell_angle_beta 90.00
_cell_angle_gamma 90.00
_space_group_name_H-M_alt 'P 1'
_space_group_IT_number 1
loop_
_space_group_symop_operation_xyz
'x,y,z'
loop_
_atom_site_label
_atom_site_type_symbol
_atom_site_fract_x
_atom_site_fract_y
_atom_site_fract_z
_atom_site_occupancy
B1 B 0.3312 0.0000 0.3486 1
B2 B 0.0000 0.6688 0.6514 1
B3 B 0.6688 0.0000 0.3486 1
B4 B 0.5000 0.8312 0.8486 1
B5 B 0.1688 0.5000 0.1514 1
B6 B 0.0000 0.3312 0.6514 1
B7 B 0.5000 0.1688 0.8486 1
B8 B 0.8312 0.5000 0.1514 1
Rh1 Rh 0.0000 0.7510 0.3557 1
Rh2 Rh 0.5000 0.2510 0.1443 1
Rh3 Rh 0.7510 0.0000 0.6443 1
Rh4 Rh 0.2490 0.0000 0.6443 1
Rh5 Rh 0.7490 0.5000 0.8557 1
Rh6 Rh 0.2510 0.5000 0.8557 1
Rh7 Rh 0.0000 0.2490 0.3557 1
Rh8 Rh 0.5000 0.7490 0.1443 1
Tb1 Tb 0.5000 0.5000 0.5000 1
Tb2 Tb 0.0000 0.0000 0.0000 1
```

Summary:
- Symmetry: P4_2/nmc, No. 137

---

(2)
Computed, not measured: crystalline Zr2N2O at its relaxed geometry at the PBE-GGA level of DFT.

The structure in CIF format:
```
data_Zr2N2O
_cell_length_a 7.1139
_cell_length_b 7.1139
_cell_length_c 8.2992
_cell_angle_alpha 79.81
_cell_angle_beta 79.81
_cell_angle_gamma 26.98
_space_group_name_H-M_alt 'P 1'
_space_group_IT_number 1
loop_
_space_group_symop_operation_xyz
'x,y,z'
loop_
_atom_site_label
_atom_site_type_symbol
_atom_site_fract_x
_atom_site_fract_y
_atom_site_fract_z
_atom_site_occupancy
Zr1 Zr 0.6291 0.6291 0.5260 1
Zr2 Zr 0.3709 0.3709 0.4740 1
Zr3 Zr 0.6960 0.6960 0.8684 1
Zr4 Zr 0.0302 0.0302 0.1926 1
Zr5 Zr 0.3040 0.3040 0.1316 1
Zr6 Zr 0.9698 0.9698 0.8074 1
O1 O 0.7908 0.7908 0.6192 1
O2 O 0.2092 0.2092 0.3808 1
O3 O 0.5000 0.5000 0.0000 1
N1 N 0.8734 0.8734 0.2872 1
N2 N 0.5343 0.5343 0.3434 1
N3 N 0.4657 0.4657 0.6566 1
N4 N 0.8279 0.8279 0.9660 1
N5 N 0.1721 0.1721 0.0340 1
N6 N 0.1266 0.1266 0.7128 1
```

Summary:
- Symmetry: C2/m, No. 12

---

(3)
Computed, not measured: crystalline ZnP2O4 at its relaxed geometry at the PBE-GGA level of DFT.

The structure in CIF format:
```
data_ZnP2O4
_cell_length_a 5.5180
_cell_length_b 6.6899
_cell_length_c 7.6537
_cell_angle_alpha 90.00
_cell_angle_beta 90.00
_cell_angle_gamma 90.00
_space_group_name_H-M_alt 'P 1'
_space_group_IT_number 1
loop_
_space_group_symop_operation_xyz
'x,y,z'
loop_
_atom_site_label
_atom_site_type_symbol
_atom_site_fract_x
_atom_site_fract_y
_atom_site_fract_z
_atom_site_occupancy
P1 P 0.0000 0.2500 0.3630 1
P2 P 0.0000 0.7500 0.6370 1
P3 P 0.5000 0.2500 0.8502 1
P4 P 0.5000 0.7500 0.1498 1
Zn1 Zn 0.0000 0.5000 0.0000 1
Zn2 Zn 0.0000 0.0000 0.0000 1
O1 O 0.7291 0.7500 0.0350 1
O2 O 0.0000 0.4417 0.2532 1
O3 O 0.2709 0.2500 0.9650 1
O4 O 0.0000 0.9417 0.7468 1
O5 O 0.2709 0.7500 0.0350 1
O6 O 0.0000 0.5583 0.7468 1
O7 O 0.0000 0.0583 0.2532 1
O8 O 0.7291 0.2500 0.9650 1
```

Summary:
- Symmetry: Pmma, No. 51

---

(4)
Computed, not measured: crystalline La12Co6Pb at its relaxed geometry at the PBE-GGA level of DFT.

The structure in CIF format:
```
data_La12Co6Pb
_cell_length_a 8.8468
_cell_length_b 8.8468
_cell_length_c 8.8468
_cell_angle_alpha 109.47
_cell_angle_beta 109.47
_cell_angle_gamma 109.47
_space_group_name_H-M_alt 'P 1'
_space_group_IT_number 1
loop_
_space_group_symop_operation_xyz
'x,y,z'
loop_
_atom_site_label
_atom_site_type_symbol
_atom_site_fract_x
_atom_site_fract_y
_atom_site_fract_z
_atom_site_occupancy
La1 La 0.8103 0.3120 0.1223 1
La2 La 0.8103 0.6880 0.4983 1
La3 La 0.5017 0.1897 0.3120 1
La4 La 0.3120 0.5017 0.1897 1
La5 La 0.4983 0.8103 0.6880 1
La6 La 0.6880 0.8777 0.1897 1
La7 La 0.6880 0.4983 0.8103 1
La8 La 0.1223 0.8103 0.3120 1
La9 La 0.8777 0.1897 0.6880 1
La10 La 0.1897 0.6880 0.8777 1
La11 La 0.3120 0.1223 0.8103 1
La12 La 0.1897 0.3120 0.5017 1
Pb1 Pb 0.0000 0.0000 0.0000 1
Co1 Co 0.6207 0.5000 0.1207 1
Co2 Co 0.8793 0.3793 0.5000 1
Co3 Co 0.1207 0.6207 0.5000 1
Co4 Co 0.3793 0.5000 0.8793 1
Co5 Co 0.5000 0.8793 0.3793 1
Co6 Co 0.5000 0.1207 0.6207 1
```

Summary:
- Symmetry: Im-3, No. 204

---

(5)
Computed, not measured: crystalline SiCCl3 at its relaxed geometry at the PBE-GGA level of DFT.

The structure in CIF format:
```
data_SiCCl3
_cell_length_a 9.5965
_cell_length_b 9.5965
_cell_length_c 9.6535
_cell_angle_alpha 84.01
_cell_angle_beta 84.01
_cell_angle_gamma 101.05
_space_group_name_H-M_alt 'P 1'
_space_group_IT_number 1
loop_
_space_group_symop_operation_xyz
'x,y,z'
loop_
_atom_site_label
_atom_site_type_symbol
_atom_site_fract_x
_atom_site_fract_y
_atom_site_fract_z
_atom_site_occupancy
C1 C 0.0597 0.0597 0.5076 1
C2 C 0.8561 0.8561 0.5984 1
C3 C 0.2323 0.2323 0.3038 1
C4 C 0.1439 0.1439 0.4016 1
C5 C 0.9403 0.9403 0.4924 1
C6 C 0.7677 0.7677 0.6962 1
Cl1 Cl 0.1577 0.9349 0.7985 1
Cl2 Cl 0.9813 0.4130 0.3327 1
Cl3 Cl 0.5870 0.0187 0.6673 1
Cl4 Cl 0.8139 0.5615 0.9691 1
Cl5 Cl 0.4269 0.6793 0.6977 1
Cl6 Cl 0.0651 0.8423 0.2015 1
Cl7 Cl 0.4385 0.1861 0.0309 1
Cl8 Cl 0.4130 0.9813 0.3327 1
Cl9 Cl 0.5615 0.8139 0.9691 1
Cl10 Cl 0.3207 0.5731 0.3023 1
Cl11 Cl 0.2743 0.2743 0.6678 1
Cl12 Cl 0.8423 0.0651 0.2015 1
Cl13 Cl 0.6793 0.4269 0.6977 1
Cl14 Cl 0.5731 0.3207 0.3023 1
Cl15 Cl 0.0187 0.5870 0.6673 1
Cl16 Cl 0.1861 0.4385 0.0309 1
Cl17 Cl 0.9349 0.1577 0.7985 1
Cl18 Cl 0.7257 0.7257 0.3322 1
Si1 Si 0.5929 0.8183 0.7567 1
Si2 Si 0.8949 0.8949 0.3138 1
Si3 Si 0.4071 0.1817 0.2433 1
Si4 Si 0.1051 0.1051 0.6862 1
Si5 Si 0.8183 0.5929 0.7567 1
Si6 Si 0.1817 0.4071 0.2433 1
```

Summary:
- Symmetry: C2/m, No. 12

---

(6)
Computed, not measured: crystalline Tb4FeGe8 at its relaxed geometry at the PBE-GGA level of DFT.

The structure in CIF format:
```
data_Tb4FeGe8
_cell_length_a 3.9965
_cell_length_b 4.1567
_cell_length_c 16.0084
_cell_angle_alpha 90.00
_cell_angle_beta 90.00
_cell_angle_gamma 90.00
_space_group_name_H-M_alt 'P 1'
_space_group_IT_number 1
loop_
_space_group_symop_operation_xyz
'x,y,z'
loop_
_atom_site_label
_atom_site_type_symbol
_atom_site_fract_x
_atom_site_fract_y
_atom_site_fract_z
_atom_site_occupancy
Ge1 Ge 0.2500 0.5000 0.5519 1
Ge2 Ge 0.7500 0.5000 0.4460 1
Ge3 Ge 0.7500 0.0000 0.2604 1
Ge4 Ge 0.2500 0.5000 0.2591 1
Ge5 Ge 0.2500 0.0000 0.7516 1
Ge6 Ge 0.7500 0.0000 0.9438 1
Ge7 Ge 0.7500 0.5000 0.7484 1
Ge8 Ge 0.2500 0.0000 0.0457 1
Tb1 Tb 0.7500 0.0000 0.6043 1
Tb2 Tb 0.2500 0.5000 0.8949 1
Tb3 Tb 0.2500 0.0000 0.3981 1
Tb4 Tb 0.7500 0.5000 0.1028 1
Fe1 Fe 0.2500 0.0000 0.1903 1
```

Summary:
- Symmetry: Pmm2, No. 25

---

(7)
Computed, not measured: crystalline Tm12Os5C15 at its relaxed geometry at the PBE-GGA level of DFT.

The structure in CIF format:
```
data_Tm12Os5C15
_cell_length_a 4.9874
_cell_length_b 10.6044
_cell_length_c 10.6044
_cell_angle_alpha 120.00
_cell_angle_beta 90.00
_cell_angle_gamma 90.00
_space_group_name_H-M_alt 'P 1'
_space_group_IT_number 1
loop_
_space_group_symop_operation_xyz
'x,y,z'
loop_
_atom_site_label
_atom_site_type_symbol
_atom_site_fract_x
_atom_site_fract_y
_atom_site_fract_z
_atom_site_occupancy
C1 C 0.5000 0.2820 0.4657 1
C2 C 0.0000 0.0000 0.7886 1
C3 C 0.0000 0.6614 0.6614 1
C4 C 0.0000 0.3386 0.0000 1
C5 C 0.5000 0.1837 0.7180 1
C6 C 0.5000 0.7180 0.1837 1
C7 C 0.0000 0.4645 0.0000 1
C8 C 0.0000 0.5355 0.5355 1
C9 C 0.5000 0.4657 0.2820 1
C10 C 0.5000 0.5343 0.8163 1
C11 C 0.5000 0.8163 0.5343 1
C12 C 0.0000 0.0000 0.4645 1
C13 C 0.0000 0.0000 0.3386 1
C14 C 0.0000 0.7886 0.0000 1
C15 C 0.0000 0.2114 0.2114 1
Tm1 Tm 0.0000 0.7279 0.1836 1
Tm2 Tm 0.0000 0.1836 0.7279 1
Tm3 Tm 0.0000 0.4557 0.2721 1
Tm4 Tm 0.5000 0.4375 0.0000 1
Tm5 Tm 0.5000 0.2063 0.2063 1
Tm6 Tm 0.5000 0.7937 0.0000 1
Tm7 Tm 0.5000 0.5625 0.5625 1
Tm8 Tm 0.0000 0.2721 0.4557 1
Tm9 Tm 0.0000 0.5443 0.8164 1
Tm10 Tm 0.5000 0.0000 0.7937 1
Tm11 Tm 0.5000 0.0000 0.4375 1
Tm12 Tm 0.0000 0.8164 0.5443 1
Os1 Os 0.0000 0.0000 0.1616 1
Os2 Os 0.5000 0.3333 0.6667 1
Os3 Os 0.0000 0.1616 0.0000 1
Os4 Os 0.5000 0.6667 0.3333 1
Os5 Os 0.0000 0.8384 0.8384 1
```

Summary:
- Symmetry: P-62m, No. 189

---

(8)
Computed, not measured: crystalline NdB2Os2 at its relaxed geometry at the PBE-GGA level of DFT.

The structure in CIF format:
```
data_NdB2Os2
_cell_length_a 6.8010
_cell_length_b 6.0248
_cell_length_c 5.6501
_cell_angle_alpha 71.18
_cell_angle_beta 56.98
_cell_angle_gamma 51.84
_space_group_name_H-M_alt 'P 1'
_space_group_IT_number 1
loop_
_space_group_symop_operation_xyz
'x,y,z'
loop_
_atom_site_label
_atom_site_type_symbol
_atom_site_fract_x
_atom_site_fract_y
_atom_site_fract_z
_atom_site_occupancy
B1 B 0.5646 0.9354 0.5646 1
B2 B 0.3146 0.6854 0.3146 1
B3 B 0.9354 0.5646 0.9354 1
B4 B 0.6854 0.3146 0.6854 1
Nd1 Nd 0.0000 0.0000 0.0000 1
Nd2 Nd 0.2500 0.2500 0.2500 1
Os1 Os 0.6133 0.6133 0.8867 1
Os2 Os 0.8867 0.8867 0.6133 1
Os3 Os 0.3633 0.3633 0.6367 1
Os4 Os 0.6367 0.6367 0.3633 1
```

Summary:
- Symmetry: Fddd, No. 70

---

In order of appearance, ΔE_f = -0.578, -2.135, -1.855, -0.193, -1.184, -0.592, -0.369, -0.433 eV/atom.